DFT (GGA+U) results for a relaxed BaNdMgCo2O5 crystal.

Cell: 4.102 3.596 10.481 Å, 90.00 90.00 90.00°
Fractional positions:
Ba 0.500 0.500 0.444
Nd 0.500 0.500 0.077
Mg 0.500 0.500 0.790
Co 0.000 0.000 0.653
Co 0.000 0.000 0.258
O 0.500 0.000 0.921
O 0.500 0.000 0.237
O 0.000 0.500 0.729
O 0.000 0.500 0.176
O 0.000 0.000 0.465

Calculated values
excess energy over the best structure of this formula in the dataset: 0.00 eV per formula unit
ρ: 5.411 Mg/m³
crystal system: orthorhombic
ΔH_f (0 K): -21.5 eV per formula unit